No. 1
Material: ZnNiF4
Method: DFT, GGA+U
State: optimized geometry

a b c (Å): 5.0935 5.1205 6.1688
angles (deg): 113.82 113.82 90.09
With the nearest neighbours (Å) after each atom.
Space group P-1 (No. 2)
Symmetry-distinct sites (fractional):
Zn: 0.2504 0.2482 0.0003 x2  8 F 2.18-2.25
Ni: 0.0000 0.5000 0.5000 x1  4 F 1.96-1.99
Ni: 0.5000 0.0000 0.5000 x1  4 F 1.95-2.01
F: 0.0730 0.1636 0.2387 x2  1 Ni 1.99, 2 Zn 2.18-2.20
F: 0.1600 0.6640 0.2437 x2  1 Ni 2.01, 2 Zn 2.20-2.23
F: 0.3394 0.4342 0.7566 x2  1 Ni 1.96, 1 Zn 2.18
F: 0.4280 0.9313 0.7621 x2  1 Ni 1.95, 1 Zn 2.18

Computed properties:
* ΔH_f (0 K): -2.31 eV per atom
* total DFT energy (no corrections): -4.0249 eV/atom
* magnetization: 0.333 μB per atom
* ρ: 5.03 Mg/m³



No. 2
Material: LiVF3
Method: DFT, GGA+U
State: optimized geometry

a b c (Å): 5.4558 7.8343 5.3667
angles (deg): 90.00 90.00 90.00
With the nearest neighbours (Å) after each atom.
Space group Pnma (No. 62)
Symmetry-distinct sites (fractional):
Li: 0.0156 0.2500 0.0129 x4  3 F 1.94-1.97
V: 0.0000 0.0000 0.5000 x4  6 F 2.10-2.15
F: 0.0937 0.7500 0.6368 x4  1 Li 1.97, 2 V 2.15
F: 0.1663 0.5745 0.1624 x8  1 Li 1.94, 2 V 2.10-2.11

Computed properties:
* ΔH_f (0 K): -3.03 eV per atom
* total DFT energy (no corrections): -5.7588 eV/atom
* magnetization: 0.600 μB per atom
* ΔE to the lowest computed polymorph: 17 meV/atom
* ρ: 3.33 Mg/m³



No. 3
Material: La2MgMoO6
Method: DFT, GGA+U
State: optimized geometry

a b c (Å): 6.1316 6.2974 9.0681
angles (deg): 90.00 109.72 90.00
With the nearest neighbours (Å) after each atom.
Space group Cm (No. 8)
Symmetry-distinct sites (fractional):
La: 0.0000 0.0000 0.0000 x2  6 O 2.35-2.46
La: 0.1678 0.5000 0.3348 x2  2 O 2.19
Mg: 0.4943 0.0000 0.9897 x2  2 O 1.96
Mo: 0.3211 0.0000 0.6418 x2  4 O 1.90-1.99
O: 0.1220 0.5000 0.8183 x2  1 Mg 1.96, 1 Mo 1.99
O: 0.1960 0.0000 0.8180 x2  1 Mg 1.96, 1 Mo 1.99
O: 0.2503 0.2341 0.5005 x4  1 Mo 1.90
O: 0.3148 0.2496 0.1280 x4  2 La 2.45-2.46, 2 Mg 2.49-2.50

Computed properties:
* ΔH_f (0 K): -2.68 eV per atom
* total DFT energy (no corrections): -7.1477 eV/atom
* magnetization: 0.000 μB per atom
* ρ: 4.98 Mg/m³



No. 4
Material: Li8VFe7P12O48
Method: DFT, GGA+U
State: optimized geometry

a b c (Å): 8.6516 8.7639 12.1779
angles (deg): 90.19 90.06 90.04
With the nearest neighbours (Å) after each atom.
Space group P1 (No. 1)
Symmetry-distinct sites (fractional):
Li: 0.0000 0.0000 0.0000 x1  4 O 1.94-2.00
Li: 0.0005 0.0552 0.3623 x1  4 O 1.92-1.98
Li: 0.4329 0.5591 0.3616 x1  4 O 1.96-2.05
Li: 0.4342 0.5021 0.9978 x1  4 O 1.90-1.98
Li: 0.5020 0.0552 0.5009 x1  4 O 1.96-2.06
Li: 0.5018 0.9994 0.8620 x1  4 O 1.94-2.00
Li: 0.9349 0.4997 0.8618 x1  4 O 1.94-1.98
Li: 0.9359 0.5544 0.4987 x1  4 O 1.94-2.02
V: 0.4716 0.2388 0.2910 x1  6 O 1.84-2.00
Fe: 0.4661 0.7380 0.5683 x1  6 O 1.94-2.10
Fe: 0.4676 0.3184 0.7915 x1  6 O 1.95-2.18
Fe: 0.4682 0.8145 0.0673 x1  6 O 1.94-2.07
Fe: 0.9656 0.7369 0.2940 x1  6 O 1.94-2.11
Fe: 0.9667 0.3192 0.0671 x1  6 O 1.95-2.08
Fe: 0.9689 0.2359 0.5677 x1  6 O 1.94-2.10
Fe: 0.9688 0.8182 0.7934 x1  6 O 1.94-2.08
P: 0.1117 0.6707 0.0339 x1  4 O 1.54-1.55
P: 0.1136 0.3810 0.3265 x1  4 O 1.52-1.59
P: 0.1785 0.5270 0.6807 x1  4 O 1.53-1.55
P: 0.2575 0.0277 0.6810 x1  4 O 1.53-1.55
P: 0.3223 0.8861 0.3251 x1  4 O 1.51-1.60
P: 0.3233 0.1700 0.0337 x1  4 O 1.53-1.61
P: 0.6123 0.6700 0.8275 x1  4 O 1.53-1.55
P: 0.6125 0.3848 0.5305 x1  4 O 1.52-1.59
P: 0.6785 0.5252 0.1797 x1  4 O 1.51-1.61
P: 0.7573 0.0259 0.1790 x1  4 O 1.51-1.60
P: 0.8230 0.1704 0.8276 x1  4 O 1.53-1.55
P: 0.8236 0.8838 0.5331 x1  4 O 1.53-1.55
O: 0.0433 0.7922 0.9551 x1  1 P 1.55
O: 0.0463 0.2614 0.4058 x1  1 P 1.54
O: 0.0546 0.5098 0.0003 x1  1 P 1.55
O: 0.0604 0.7119 0.1511 x1  1 P 1.54
O: 0.0647 0.5441 0.3610 x1  1 P 1.55
O: 0.0668 0.3435 0.2093 x1  1 P 1.52
O: 0.0695 0.4394 0.6010 x1  1 P 1.55
O: 0.0697 0.6144 0.7602 x1  1 P 1.55
O: 0.1450 0.8887 0.3375 x1  1 P 1.54
O: 0.1464 0.1711 0.0297 x1  1 P 1.53
O: 0.1617 0.1355 0.6096 x1  1 P 1.53
O: 0.1617 0.9193 0.7515 x1  1 P 1.53
O: 0.2745 0.4195 0.7523 x1  1 P 1.53
O: 0.2744 0.6346 0.6091 x1  1 P 1.53
O: 0.2902 0.6724 0.0241 x1  1 P 1.55
O: 0.2968 0.3718 0.3345 x1  1 P 1.59
O: 0.3652 0.1154 0.7616 x1  1 P 1.55
O: 0.3660 0.9415 0.6005 x1  1 P 1.55
O: 0.3722 0.8462 0.2094 x1  1 P 1.51
O: 0.3787 0.2079 0.1572 x1  1 P 1.61
O: 0.3831 0.0112 0.0030 x1  1 P 1.53
O: 0.3835 0.0537 0.3543 x1  1 P 1.60
O: 0.3951 0.2941 0.9616 x1  1 P 1.53
O: 0.3947 0.7706 0.4056 x1  1 P 1.54
O: 0.5437 0.2634 0.4461 x1  1 P 1.59
O: 0.5436 0.7910 0.9066 x1  1 P 1.55
O: 0.5532 0.5444 0.4973 x1  1 P 1.55
O: 0.5553 0.5086 0.8600 x1  1 P 1.55
O: 0.5581 0.3378 0.6444 x1  1 P 1.52
O: 0.5619 0.7101 0.7106 x1  1 P 1.53
O: 0.5649 0.6105 0.1045 x1  1 P 1.54
O: 0.5662 0.4284 0.2589 x1  1 P 1.61
O: 0.6440 0.1731 0.8362 x1  1 P 1.55
O: 0.6447 0.8823 0.5242 x1  1 P 1.55
O: 0.6495 0.1381 0.2488 x1  1 P 1.60
O: 0.6588 0.9194 0.1106 x1  1 P 1.51
O: 0.7702 0.6303 0.2557 x1  1 P 1.53
O: 0.7726 0.4156 0.1107 x1  1 P 1.51
O: 0.7902 0.3809 0.5211 x1  1 P 1.54
O: 0.7910 0.6722 0.8367 x1  1 P 1.55
O: 0.8586 0.9438 0.2645 x1  1 P 1.54
O: 0.8628 0.1174 0.1024 x1  1 P 1.53
O: 0.8726 0.2110 0.7105 x1  1 P 1.53
O: 0.8736 0.8439 0.6501 x1  1 P 1.53
O: 0.8799 0.0097 0.8611 x1  1 P 1.55
O: 0.8799 0.0451 0.4999 x1  1 P 1.55
O: 0.8923 0.2920 0.9061 x1  1 P 1.55
O: 0.8924 0.7620 0.4544 x1  1 P 1.55

Computed properties:
* ΔH_f (0 K): -2.45 eV per atom
* total DFT energy (no corrections): -6.8704 eV/atom
* magnetization: 0.487 μB per atom
* ρ: 2.94 Mg/m³



No. 5
Material: LiFeP4O12
Method: DFT, GGA+U
State: optimized geometry

a b c (Å): 7.4410 8.8567 15.4591
angles (deg): 90.00 113.57 90.00
With the nearest neighbours (Å) after each atom.
Space group P2_1/c (No. 14)
Symmetry-distinct sites (fractional):
Li: 0.1361 0.0731 0.0757 x4  2 O 1.94
Fe: 0.3204 0.6530 0.8531 x4  5 O 1.96-2.18
P: 0.0978 0.0391 0.8077 x4  4 O 1.49-1.62
P: 0.2249 0.7297 0.0416 x4  4 O 1.50-1.61
P: 0.3536 0.5482 0.2168 x4  4 O 1.49-1.62
P: 0.3668 0.2223 0.4302 x4  4 O 1.49-1.63
O: 0.0947 0.6224 0.7335 x4  1 P 1.51
O: 0.0963 0.6214 0.3369 x4  1 P 1.49
O: 0.0974 0.6341 0.5317 x4  1 P 1.50
O: 0.1975 0.6396 0.9548 x4  1 P 1.50
O: 0.1999 0.6224 0.1198 x4  2 P 1.61-1.62
O: 0.2060 0.0664 0.7373 x4  2 P 1.61-1.62
O: 0.2344 0.1290 0.9030 x4  2 P 1.60-1.62
O: 0.2690 0.0913 0.3694 x4  1 P 1.49
O: 0.4310 0.6624 0.2953 x4  1 P 1.51
O: 0.4339 0.2075 0.5361 x4  1 P 1.52
O: 0.4501 0.7156 0.5921 x4  2 P 1.61-1.63
O: 0.4986 0.5447 0.8014 x4  1 P 1.49

Computed properties:
* ΔH_f (0 K): -2.46 eV per atom
* total DFT energy (no corrections): -6.9577 eV/atom
* magnetization: 0.278 μB per atom
* ΔE to the lowest computed polymorph: 87 meV/atom
* ρ: 2.69 Mg/m³